# LiP4WO12 | the Materials Project | PBE+U | relaxed
# - Total magnetization: 0.17 μB per atom
# - Space-group type: P2_1/c (14)
# - ΔE to the lowest computed polymorph: 32 meV per atom
# - Crystal system: monoclinic
# - Total energy: -513.48 eV/cell
# - Theoretical density: 3.49 g cm⁻³
# - Formation energy: -2.5086 eV/atom
data_LiP4WO12
_space_group_name_H-M_alt 'P 1'
_space_group_IT_number 1
_cell_length_a 13.2129
_cell_length_b 7.6025
_cell_length_c 11.9867
_cell_angle_alpha 53.16
_cell_angle_beta 90.00
_cell_angle_gamma 90.00
loop_
_space_group_symop_operation_xyz
'x,y,z'
loop_
_atom_site_label
_atom_site_type_symbol
_atom_site_fract_x
_atom_site_fract_y
_atom_site_fract_z
O1 O 0.6060 0.8177 0.2943
O2 O 0.3659 0.9008 0.6603
O3 O 0.8659 0.0992 0.8397
O4 O 0.6860 0.1917 0.1040
O5 O 0.0861 0.4130 0.9015
O6 O 0.7065 0.7972 0.1168
O7 O 0.2935 0.2028 0.8832
O8 O 0.2065 0.2028 0.3832
O9 O 0.6071 0.0003 0.6265
O10 O 0.1736 0.5370 0.1305
O11 O 0.0333 0.3581 0.3143
O12 O 0.0969 0.4193 0.6831
O13 O 0.6341 0.0992 0.3397
O14 O 0.3140 0.8083 0.8960
O15 O 0.4966 0.8371 0.8379
O16 O 0.5034 0.1629 0.1621
O17 O 0.1341 0.9008 0.1603
O18 O 0.5861 0.5870 0.5985
O19 O 0.1060 0.1823 0.2057
O20 O 0.3264 0.5370 0.6305
O21 O 0.5969 0.5807 0.8169
O22 O 0.1866 0.1973 0.6265
O23 O 0.3929 0.9997 0.3735
O24 O 0.6736 0.4630 0.3695
O25 O 0.0034 0.8371 0.3379
O26 O 0.4667 0.3581 0.8143
O27 O 0.9139 0.5870 0.0985
O28 O 0.5333 0.6419 0.1857
O29 O 0.7935 0.7972 0.6168
O30 O 0.8522 0.2494 0.3333
O31 O 0.1478 0.7506 0.6667
O32 O 0.1860 0.8083 0.3960
O33 O 0.4031 0.4193 0.1831
O34 O 0.1071 0.9997 0.8735
O35 O 0.8940 0.8177 0.7943
O36 O 0.8134 0.8027 0.3735
O37 O 0.8264 0.4630 0.8695
O38 O 0.3134 0.1973 0.1265
O39 O 0.6478 0.2494 0.8333
O40 O 0.9667 0.6419 0.6857
O41 O 0.4139 0.4130 0.4015
O42 O 0.8929 0.0003 0.1265
O43 O 0.3940 0.1823 0.7057
O44 O 0.6866 0.8027 0.8735
O45 O 0.9966 0.1629 0.6621
O46 O 0.9031 0.5807 0.3169
O47 O 0.8140 0.1917 0.6040
O48 O 0.3522 0.7506 0.1667
W1 W 0.7713 0.1279 0.9775
W2 W 0.2713 0.8721 0.5225
W3 W 0.7287 0.1279 0.4775
W4 W 0.2287 0.8721 0.0225
P1 P 0.9192 0.4497 0.2530
P2 P 0.3858 0.9221 0.7743
P3 P 0.3644 0.3250 0.7608
P4 P 0.6054 0.8206 0.7817
P5 P 0.1054 0.1794 0.7183
P6 P 0.1356 0.3250 0.2608
P7 P 0.8644 0.6750 0.7392
P8 P 0.8858 0.0779 0.7257
P9 P 0.6142 0.0779 0.2257
P10 P 0.0808 0.5503 0.7470
P11 P 0.5808 0.4497 0.7530
P12 P 0.6356 0.6750 0.2392
P13 P 0.3946 0.1794 0.2183
P14 P 0.4192 0.5503 0.2470
P15 P 0.8946 0.8206 0.2817
P16 P 0.1142 0.9221 0.2743
Li1 Li 0.7956 0.6077 0.9943
Li2 Li 0.2956 0.3923 0.5057
Li3 Li 0.7044 0.6077 0.4943
Li4 Li 0.2044 0.3923 0.0057

# Li3P3W2O12 | the Materials Project | PBE+U | relaxed
# - Total magnetization: 0.30 μB per atom
# - Space-group type: P2_1/c (14)
# - ΔE to the lowest computed polymorph: 10 meV per atom
# - Crystal system: monoclinic
# - Total energy: -559.62 eV/cell
# - Theoretical density: 4.56 g cm⁻³
# - Formation energy: -2.4884 eV/atom
data_Li3P3W2O12
_space_group_name_H-M_alt 'P 1'
_space_group_IT_number 1
_cell_length_a 9.0693
_cell_length_b 8.7072
_cell_length_c 15.1246
_cell_angle_alpha 55.15
_cell_angle_beta 90.00
_cell_angle_gamma 90.00
loop_
_space_group_symop_operation_xyz
'x,y,z'
loop_
_atom_site_label
_atom_site_type_symbol
_atom_site_fract_x
_atom_site_fract_y
_atom_site_fract_z
P1 P 0.6197 0.9548 0.1557
P2 P 0.8909 0.2663 0.8486
P3 P 0.8803 0.9548 0.6557
P4 P 0.3803 0.0452 0.8443
P5 P 0.2481 0.4659 0.9901
P6 P 0.1091 0.7337 0.1514
P7 P 0.2519 0.4659 0.4901
P8 P 0.6091 0.2663 0.3486
P9 P 0.3909 0.7337 0.6514
P10 P 0.1197 0.0452 0.3443
P11 P 0.7519 0.5341 0.0099
P12 P 0.7481 0.5341 0.5099
W1 W 0.0363 0.6477 0.6083
W2 W 0.4637 0.6477 0.1083
W3 W 0.9637 0.3523 0.3917
W4 W 0.9694 0.1378 0.1057
W5 W 0.5363 0.3523 0.8917
W6 W 0.0306 0.8622 0.8943
W7 W 0.5306 0.1378 0.6057
W8 W 0.4694 0.8622 0.3943
Li1 Li 0.5868 0.7714 0.8143
Li2 Li 0.4865 0.4146 0.6519
Li3 Li 0.4132 0.2286 0.1857
Li4 Li 0.0135 0.4146 0.1519
Li5 Li 0.0868 0.2286 0.6857
Li6 Li 0.9132 0.7714 0.3143
Li7 Li 0.7173 0.6442 0.6785
Li8 Li 0.2173 0.3558 0.8215
Li9 Li 0.9865 0.5854 0.8481
Li10 Li 0.7827 0.6442 0.1785
Li11 Li 0.2827 0.3558 0.3215
Li12 Li 0.5135 0.5854 0.3481
O1 O 0.1687 0.6479 0.9010
O2 O 0.6865 0.6299 0.0618
O3 O 0.4552 0.6946 0.5697
O4 O 0.1865 0.3701 0.4382
O5 O 0.2391 0.6332 0.6910
O6 O 0.0034 0.3658 0.7519
O7 O 0.0938 0.9052 0.4639
O8 O 0.0768 0.2502 0.3072
O9 O 0.0448 0.6946 0.0697
O10 O 0.6385 0.6712 0.4200
O11 O 0.7888 0.9355 0.1802
O12 O 0.1385 0.3288 0.0800
O13 O 0.5768 0.7498 0.1928
O14 O 0.3615 0.3288 0.5800
O15 O 0.3313 0.6479 0.4010
O16 O 0.6154 0.0586 0.3951
O17 O 0.4062 0.9052 0.9639
O18 O 0.1302 0.4930 0.5512
O19 O 0.3698 0.4930 0.0512
O20 O 0.9966 0.6342 0.2481
O21 O 0.0278 0.9945 0.2777
O22 O 0.5034 0.6342 0.7481
O23 O 0.3135 0.3701 0.9382
O24 O 0.4722 0.9945 0.7777
O25 O 0.8313 0.3521 0.0990
O26 O 0.7112 0.9355 0.6802
O27 O 0.2112 0.0645 0.8198
O28 O 0.8135 0.6299 0.5618
O29 O 0.5448 0.3054 0.4303
O30 O 0.2609 0.6332 0.1910
O31 O 0.9722 0.0055 0.7223
O32 O 0.4966 0.3658 0.2519
O33 O 0.5938 0.0948 0.0361
O34 O 0.3846 0.9414 0.6049
O35 O 0.7609 0.3668 0.3090
O36 O 0.7391 0.3668 0.8090
O37 O 0.4232 0.2502 0.8072
O38 O 0.1154 0.9414 0.1049
O39 O 0.2888 0.0645 0.3198
O40 O 0.8698 0.5070 0.4488
O41 O 0.9552 0.3054 0.9303
O42 O 0.6302 0.5070 0.9488
O43 O 0.8846 0.0586 0.8951
O44 O 0.9062 0.0948 0.5361
O45 O 0.9232 0.7498 0.6928
O46 O 0.5278 0.0055 0.2223
O47 O 0.8615 0.6712 0.9200
O48 O 0.6687 0.3521 0.5990

Question: Which formula does entry 1 have?
Answer: LiP4WO12

Question: Which of these has the highest formation energy?
Answer: Li3P3W2O12